Record 1
Na7TaGa3Si3P3O24: optimized geometry, PBE.

Results
- SG = P1 (1)
- calculated formation energy (eV per atom) = -2.695
- V (Å³/cell) = 1512.2
- raw total energy (eV per atom) = -6.72
- total magnetic moment (μB per formula unit) = 0.00

Cell: 8.918 8.918 21.912 Å, 89.82 89.97 60.19°
Atoms (fractional coordinates):
Na (0.000, 0.000, 0.000)
Na (0.000, 0.261, 0.499)
Na (0.002, 0.628, 0.252)
Na (0.036, 0.288, 0.168)
Na (0.308, 0.285, 0.670)
Na (0.310, 0.663, 0.168)
Na (0.324, 0.603, 0.839)
Na (0.338, 0.332, 0.331)
Na (0.338, 0.961, 0.083)
Na (0.341, 0.953, 0.587)
Na (0.374, 0.624, 0.498)
Na (0.379, 0.258, 0.998)
Na (0.627, 0.003, 0.501)
Na (0.630, 0.629, 0.002)
Na (0.658, 0.937, 0.167)
Na (0.666, 0.299, 0.416)
Na (0.673, 0.297, 0.923)
Na (0.698, 0.957, 0.840)
Na (0.705, 0.591, 0.331)
Na (0.965, 0.965, 0.329)
Na (0.993, 0.627, 0.756)
Ta (0.001, 0.633, 0.103)
Ta (0.672, 0.291, 0.771)
Ta (0.995, 0.632, 0.604)
Ga (0.004, 0.623, 0.401)
Ga (0.008, 0.621, 0.899)
Ga (0.336, 0.961, 0.229)
Ga (0.340, 0.964, 0.436)
Ga (0.340, 0.965, 0.732)
Ga (0.342, 0.961, 0.935)
Ga (0.660, 0.301, 0.565)
Ga (0.663, 0.295, 0.067)
Ga (0.668, 0.295, 0.262)
Si (0.296, 0.336, 0.498)
Si (0.299, 0.629, 0.996)
Si (0.322, 0.256, 0.833)
Si (0.381, 0.292, 0.168)
Si (0.666, 0.003, 0.664)
Si (0.666, 0.584, 0.167)
Si (0.707, 0.627, 0.496)
Si (0.710, 0.923, 0.995)
Si (0.957, 0.011, 0.167)
P (0.001, 0.339, 0.998)
P (0.001, 0.919, 0.497)
P (0.046, 0.252, 0.334)
P (0.053, 0.964, 0.832)
P (0.333, 0.674, 0.334)
P (0.379, 0.595, 0.665)
P (0.626, 0.675, 0.833)
P (0.628, 0.962, 0.334)
P (0.959, 0.289, 0.663)
O (0.019, 0.809, 0.835)
O (0.028, 0.435, 0.337)
O (0.029, 0.426, 0.056)
O (0.031, 0.796, 0.553)
O (0.126, 0.994, 0.892)
O (0.129, 0.139, 0.392)
O (0.140, 0.134, 0.670)
O (0.152, 0.980, 0.174)
O (0.159, 0.168, 0.277)
O (0.162, 0.454, 0.837)
O (0.166, 0.657, 0.338)
O (0.167, 0.161, 0.995)
O (0.168, 0.931, 0.494)
O (0.169, 0.433, 0.558)
O (0.169, 0.932, 0.777)
O (0.173, 0.657, 0.056)
O (0.186, 0.466, 0.160)
O (0.201, 0.596, 0.661)
O (0.213, 0.462, 0.438)
O (0.214, 0.590, 0.937)
O (0.304, 0.172, 0.770)
O (0.304, 0.786, 0.277)
O (0.305, 0.148, 0.494)
O (0.305, 0.810, 0.994)
O (0.352, 0.774, 0.674)
O (0.353, 0.126, 0.175)
O (0.362, 0.759, 0.392)
O (0.377, 0.129, 0.892)
O (0.454, 0.343, 0.228)
O (0.470, 0.470, 0.721)
O (0.484, 0.513, 0.607)
O (0.488, 0.315, 0.504)
O (0.490, 0.459, 0.004)
O (0.494, 0.986, 0.671)
O (0.497, 0.491, 0.331)
O (0.499, 0.252, 0.107)
O (0.500, 0.778, 0.174)
O (0.505, 0.278, 0.826)
O (0.512, 0.741, 0.891)
O (0.516, 0.993, 0.392)
O (0.517, 0.801, 0.494)
O (0.520, 0.936, 0.995)
O (0.541, 0.791, 0.777)
O (0.546, 0.930, 0.277)
O (0.629, 0.503, 0.107)
O (0.634, 0.126, 0.605)
O (0.644, 0.490, 0.824)
O (0.646, 0.128, 0.330)
O (0.693, 0.101, 0.725)
O (0.693, 0.453, 0.506)
O (0.696, 0.111, 0.003)
O (0.714, 0.463, 0.229)
O (0.805, 0.796, 0.056)
O (0.806, 0.656, 0.839)
O (0.807, 0.663, 0.555)
O (0.813, 0.798, 0.338)
O (0.830, 0.589, 0.437)
O (0.833, 0.832, 0.936)
O (0.835, 0.082, 0.228)
O (0.840, 0.320, 0.004)
O (0.840, 0.320, 0.720)
O (0.841, 0.604, 0.160)
O (0.842, 0.099, 0.505)
O (0.845, 0.814, 0.661)
O (0.862, 0.271, 0.330)
O (0.865, 0.131, 0.826)
O (0.874, 0.273, 0.605)
O (0.876, 0.130, 0.107)
O (0.966, 0.458, 0.943)
O (0.966, 0.840, 0.440)
O (0.977, 0.815, 0.160)
O (0.979, 0.457, 0.661)

***

Record 2
FeNi: optimized geometry, PBE.

Results
- SG = R-3m (166)
- calculated formation energy (eV per atom) = 0.001
- V (Å³/cell) = 67.9
- raw total energy (eV per atom) = -7.12
- total magnetic moment (μB per formula unit) = 3.17

Cell: 2.516 2.516 12.395 Å, 90.00 90.00 120.00°
Atoms (fractional coordinates):
Fe (0.000, 0.000, 0.000)
Fe (0.333, 0.667, 0.667)
Fe (0.667, 0.333, 0.333)
Ni (0.000, 0.000, 0.500)
Ni (0.333, 0.667, 0.167)
Ni (0.667, 0.333, 0.833)

***

Record 3
LaH24C3N3Cl6O3: optimized geometry, PBE.

Results
- SG = Pnma (62)
- calculated formation energy (eV per atom) = -0.806
- V (Å³/cell) = 1828.5
- raw total energy (eV per atom) = -4.88
- total magnetic moment (μB per formula unit) = 0.00

Cell: 17.868 8.721 11.733 Å, 90.00 90.00 90.00°
Atoms (fractional coordinates):
La (0.018, 0.250, 0.095)
La (0.482, 0.750, 0.595)
La (0.518, 0.250, 0.405)
La (0.982, 0.750, 0.905)
H (0.027, 0.750, 0.465)
H (0.034, 0.154, 0.707)
H (0.034, 0.346, 0.707)
H (0.058, 0.147, 0.503)
H (0.058, 0.353, 0.503)
H (0.068, 0.658, 0.133)
H (0.068, 0.842, 0.133)
H (0.113, 0.250, 0.675)
H (0.121, 0.659, 0.736)
H (0.121, 0.841, 0.736)
H (0.148, 0.750, 0.331)
H (0.166, 0.750, 0.944)
H (0.167, 0.250, 0.441)
H (0.174, 0.647, 0.457)
H (0.174, 0.853, 0.457)
H (0.194, 0.159, 0.133)
H (0.194, 0.341, 0.133)
H (0.199, 0.250, 0.936)
H (0.223, 0.655, 0.034)
H (0.223, 0.845, 0.034)
H (0.224, 0.148, 0.343)
H (0.224, 0.352, 0.343)
H (0.226, 0.155, 0.816)
H (0.226, 0.345, 0.816)
H (0.274, 0.655, 0.316)
H (0.274, 0.845, 0.316)
H (0.276, 0.648, 0.843)
H (0.276, 0.852, 0.843)
H (0.277, 0.155, 0.534)
H (0.277, 0.345, 0.534)
H (0.301, 0.750, 0.436)
H (0.306, 0.659, 0.633)
H (0.306, 0.841, 0.633)
H (0.326, 0.147, 0.957)
H (0.326, 0.353, 0.957)
H (0.333, 0.750, 0.941)
H (0.334, 0.250, 0.444)
H (0.352, 0.250, 0.831)
H (0.379, 0.159, 0.236)
H (0.379, 0.341, 0.236)
H (0.387, 0.750, 0.175)
H (0.432, 0.158, 0.633)
H (0.432, 0.342, 0.633)
H (0.442, 0.647, 0.003)
H (0.442, 0.853, 0.003)
H (0.466, 0.654, 0.207)
H (0.466, 0.846, 0.207)
H (0.473, 0.250, 0.965)
H (0.527, 0.750, 0.035)
H (0.534, 0.154, 0.793)
H (0.534, 0.346, 0.793)
H (0.558, 0.147, 0.997)
H (0.558, 0.353, 0.997)
H (0.568, 0.658, 0.367)
H (0.568, 0.842, 0.367)
H (0.613, 0.250, 0.825)
H (0.621, 0.659, 0.764)
H (0.621, 0.841, 0.764)
H (0.648, 0.750, 0.169)
H (0.666, 0.750, 0.556)
H (0.667, 0.250, 0.059)
H (0.674, 0.647, 0.043)
H (0.674, 0.853, 0.043)
H (0.694, 0.159, 0.367)
H (0.694, 0.341, 0.367)
H (0.699, 0.250, 0.564)
H (0.723, 0.655, 0.466)
H (0.723, 0.845, 0.466)
H (0.724, 0.148, 0.157)
H (0.724, 0.352, 0.157)
H (0.726, 0.155, 0.684)
H (0.726, 0.345, 0.684)
H (0.774, 0.655, 0.184)
H (0.774, 0.845, 0.184)
H (0.776, 0.648, 0.657)
H (0.776, 0.852, 0.657)
H (0.777, 0.155, 0.966)
H (0.777, 0.345, 0.966)
H (0.801, 0.750, 0.064)
H (0.806, 0.659, 0.867)
H (0.806, 0.841, 0.867)
H (0.826, 0.147, 0.543)
H (0.826, 0.353, 0.543)
H (0.833, 0.750, 0.559)
H (0.834, 0.250, 0.056)
H (0.852, 0.250, 0.669)
H (0.879, 0.159, 0.264)
H (0.879, 0.341, 0.264)
H (0.887, 0.750, 0.325)
H (0.932, 0.158, 0.867)
H (0.932, 0.342, 0.867)
H (0.942, 0.647, 0.497)
H (0.942, 0.853, 0.497)
H (0.966, 0.654, 0.293)
H (0.966, 0.846, 0.293)
H (0.973, 0.250, 0.535)
C (0.034, 0.250, 0.543)
C (0.184, 0.750, 0.406)
C (0.220, 0.250, 0.396)
C (0.280, 0.750, 0.896)
C (0.316, 0.250, 0.906)
C (0.466, 0.750, 0.043)
C (0.534, 0.250, 0.957)
C (0.684, 0.750, 0.094)
C (0.720, 0.250, 0.104)
C (0.780, 0.750, 0.604)
C (0.816, 0.250, 0.594)
C (0.966, 0.750, 0.457)
N (0.055, 0.250, 0.666)
N (0.218, 0.750, 0.981)
N (0.237, 0.250, 0.868)
N (0.263, 0.750, 0.368)
N (0.282, 0.250, 0.481)
N (0.445, 0.750, 0.166)
N (0.555, 0.250, 0.834)
N (0.718, 0.750, 0.519)
N (0.737, 0.250, 0.632)
N (0.763, 0.750, 0.132)
N (0.782, 0.250, 0.019)
N (0.945, 0.750, 0.334)
Cl (0.062, 0.026, 0.265)
Cl (0.062, 0.474, 0.265)
Cl (0.085, 0.034, 0.932)
Cl (0.085, 0.466, 0.932)
Cl (0.207, 0.012, 0.660)
Cl (0.207, 0.488, 0.660)
Cl (0.293, 0.512, 0.160)
Cl (0.293, 0.988, 0.160)
Cl (0.415, 0.534, 0.432)
Cl (0.415, 0.966, 0.432)
Cl (0.438, 0.526, 0.765)
Cl (0.438, 0.974, 0.765)
Cl (0.562, 0.026, 0.235)
Cl (0.562, 0.474, 0.235)
Cl (0.585, 0.034, 0.568)
Cl (0.585, 0.466, 0.568)
Cl (0.707, 0.012, 0.840)
Cl (0.707, 0.488, 0.840)
Cl (0.793, 0.512, 0.340)
Cl (0.793, 0.988, 0.340)
Cl (0.915, 0.534, 0.068)
Cl (0.915, 0.966, 0.068)
Cl (0.938, 0.526, 0.735)
Cl (0.938, 0.974, 0.735)
O (0.069, 0.750, 0.083)
O (0.098, 0.750, 0.771)
O (0.167, 0.250, 0.104)
O (0.333, 0.750, 0.604)
O (0.402, 0.250, 0.271)
O (0.431, 0.250, 0.583)
O (0.569, 0.750, 0.417)
O (0.598, 0.750, 0.729)
O (0.667, 0.250, 0.396)
O (0.833, 0.750, 0.896)
O (0.902, 0.250, 0.229)
O (0.931, 0.250, 0.917)

***

Record 4
La4CdPd: optimized geometry, PBE.

Results
- SG = F-43m (216)
- calculated formation energy (eV per atom) = -0.401
- V (Å³/cell) = 755.9
- raw total energy (eV per atom) = -4.71

Cell: 10.225 10.225 10.225 Å, 60.00 60.00 60.00°
Atoms (fractional coordinates):
La (0.186, 0.186, 0.814)
La (0.186, 0.814, 0.186)
La (0.186, 0.814, 0.814)
La (0.400, 0.400, 0.400)
La (0.400, 0.400, 0.799)
La (0.400, 0.799, 0.400)
La (0.558, 0.558, 0.942)
La (0.558, 0.942, 0.558)
La (0.558, 0.942, 0.942)
La (0.799, 0.400, 0.400)
La (0.814, 0.186, 0.186)
La (0.814, 0.186, 0.814)
La (0.814, 0.814, 0.186)
La (0.942, 0.558, 0.558)
La (0.942, 0.558, 0.942)
La (0.942, 0.942, 0.558)
Cd (0.170, 0.170, 0.170)
Cd (0.170, 0.170, 0.491)
Cd (0.170, 0.491, 0.170)
Cd (0.491, 0.170, 0.170)
Pd (0.177, 0.608, 0.608)
Pd (0.608, 0.177, 0.608)
Pd (0.608, 0.608, 0.177)
Pd (0.608, 0.608, 0.608)

***

Record 5
Y2In8Co: optimized geometry, PBE.

Results
- SG = P4/mmm (123)
- calculated formation energy (eV per atom) = -0.296
- V (Å³/cell) = 260.8
- raw total energy (eV per atom) = -4.12
- total magnetic moment (μB per formula unit) = 0.02

Cell: 4.671 4.671 11.954 Å, 90.00 90.00 90.00°
Atoms (fractional coordinates):
Y (0.000, 0.000, 0.194)
Y (0.000, 0.000, 0.806)
In (0.000, 0.500, 0.000)
In (0.000, 0.500, 0.380)
In (0.000, 0.500, 0.620)
In (0.500, 0.000, 0.000)
In (0.500, 0.000, 0.380)
In (0.500, 0.000, 0.620)
In (0.500, 0.500, 0.198)
In (0.500, 0.500, 0.802)
Co (0.000, 0.000, 0.500)